(1)
## Ba2EuSbO6 (GGA-PBE)

Data for a relaxed Ba2EuSbO6 crystal.

Output
**Total magnetization**: 6.00 Bohr magnetons per cell
**Calculated volume**: 160.2 Å³/cell
**Formation enthalpy at 0 K**: -2.85 eV/atom
**VASP energy**: -7.23 eV per atom
**Symmetry**: Fm-3m, No. 225

Lattice parameters (Å, degrees): 6.096 6.096 6.096 60.00 60.00 60.00
Atoms (fractional coordinates):
Ba: 0.750 0.750 0.750
Ba: 0.250 0.250 0.250
Eu: 0.500 0.500 0.500
Sb: 0.000 0.000 0.000
O: 0.766 0.234 0.766
O: 0.234 0.234 0.766
O: 0.766 0.766 0.234
O: 0.766 0.234 0.234
O: 0.234 0.766 0.234
O: 0.234 0.766 0.766

=====

(2)
## Ba3GaS4Br (GGA-PBE)

Data for a relaxed Ba3GaS4Br crystal.

Output
**Calculated volume**: 1052.9 Å³/cell
**Formation enthalpy at 0 K**: -2.07 eV/atom
**VASP energy**: -4.79 eV per atom
**Symmetry**: Pnma, No. 62

Lattice parameters (Å, degrees): 8.652 9.709 12.534 90.00 90.00 90.00
Atoms (fractional coordinates):
Ba: 0.417 0.750 0.474
Ba: 0.083 0.750 0.974
Ba: 0.583 0.250 0.526
Ba: 0.917 0.250 0.026
Ba: 0.911 0.520 0.335
Ba: 0.589 0.980 0.835
Ba: 0.089 0.020 0.665
Ba: 0.411 0.480 0.165
Ba: 0.089 0.480 0.665
Ba: 0.411 0.020 0.165
Ba: 0.911 0.980 0.335
Ba: 0.589 0.520 0.835
Ga: 0.689 0.750 0.104
Ga: 0.811 0.750 0.604
Ga: 0.311 0.250 0.896
Ga: 0.189 0.250 0.396
S: 0.814 0.550 0.071
S: 0.686 0.950 0.571
S: 0.186 0.050 0.929
S: 0.314 0.450 0.429
S: 0.186 0.450 0.929
S: 0.314 0.050 0.429
S: 0.814 0.950 0.071
S: 0.686 0.550 0.571
S: 0.637 0.750 0.284
S: 0.863 0.750 0.784
S: 0.363 0.250 0.716
S: 0.137 0.250 0.216
S: 0.466 0.750 0.006
S: 0.034 0.750 0.506
S: 0.534 0.250 0.994
S: 0.966 0.250 0.494
Br: 0.169 0.750 0.232
Br: 0.331 0.750 0.732
Br: 0.831 0.250 0.768
Br: 0.669 0.250 0.268

=====

Q: What is the formula in the first record?
A: Ba2EuSbO6